Material: Al9Cr3Si
Method: DFT, PBE
State: relaxed Values from VASP.

crystal system: hexagonal
space-group type: No. 194

```
&SYSTEM
  ibrav = 0, nat = 26, ntyp = 3
/
ATOMIC_SPECIES
Cr 52.00 Cr.upf
Al 26.98 Al.upf
Si 28.09 Si.upf
CELL_PARAMETERS angstrom
3.7523 -6.4992 0.0000
3.7523 6.4992 0.0000
0.0000 0.0000 7.8340
ATOMIC_POSITIONS crystal
Cr 0.8843 0.7685 0.7500
Cr 0.1157 0.8843 0.2500
Cr 0.7685 0.8843 0.2500
Cr 0.1157 0.2315 0.2500
Cr 0.8843 0.1157 0.7500
Cr 0.2315 0.1157 0.7500
Al 0.5970 0.7985 0.9373
Al 0.2015 0.7985 0.9373
Al 0.5970 0.7985 0.5627
Al 0.2015 0.4029 0.5627
Al 0.7985 0.5970 0.4373
Al 0.4029 0.2015 0.0627
Al 0.5434 0.4566 0.7500
Al 0.2015 0.7985 0.5627
Al 0.0868 0.5434 0.2500
Al 0.5434 0.0868 0.7500
Al 0.4566 0.9132 0.2500
Al 0.9132 0.4566 0.7500
Al 0.4029 0.2015 0.4373
Al 0.7985 0.2015 0.4373
Al 0.7985 0.2015 0.0627
Al 0.4566 0.5434 0.2500
Al 0.2015 0.4029 0.9373
Al 0.7985 0.5970 0.0627
Si 0.0000 0.0000 0.5000
Si 0.0000 0.0000 0.0000
```


Material: CaSi5O10
Method: DFT, PBE
State: relaxed Values from VASP.

crystal system: tetragonal
total magnetic moment: 0.00 μB/cell
space-group type: No. 115

```
&SYSTEM
  ibrav = 0, nat = 16, ntyp = 3
/
ATOMIC_SPECIES
O 16.00 O.upf
Si 28.09 Si.upf
Ca 40.08 Ca.upf
CELL_PARAMETERS angstrom
-3.9342 -5.7149 -0.6974
4.9408 -3.7850 3.1443
-2.7477 1.1899 5.7499
ATOMIC_POSITIONS crystal
O 0.5000 0.0000 0.1199
O 0.8079 0.8079 0.0000
O 0.1921 0.1921 0.0000
O 0.1926 0.0000 0.3570
O 0.1921 0.8079 0.0000
O 0.0000 0.5000 0.8801
O 0.0000 0.1926 0.6430
O 0.8079 0.1921 0.0000
O 0.8074 0.0000 0.3570
O 0.0000 0.8074 0.6430
Si 0.7307 0.0000 0.1191
Si 0.0000 0.7307 0.8809
Si 0.0000 0.2693 0.8809
Si 0.2693 0.0000 0.1191
Si 0.0000 0.0000 0.5000
Ca 0.5000 0.5000 0.5000
```


Material: Ge3N4
Method: DFT, PBE
State: relaxed Values from VASP.

distance to the lowest polymorph of the same formula: 2 meV per atom
crystal system: hexagonal
space-group type: No. 176

```
&SYSTEM
  ibrav = 0, nat = 14, ntyp = 2
/
ATOMIC_SPECIES
N 14.01 N.upf
Ge 72.64 Ge.upf
CELL_PARAMETERS angstrom
-2.1642 1.0204 -7.7599
-0.3247 -7.3816 3.3687
-2.9323 0.5343 0.8881
ATOMIC_POSITIONS crystal
N 0.6696 0.9723 0.7500
N 0.3304 0.0277 0.2500
N 0.9723 0.3028 0.2500
N 0.3028 0.3304 0.7500
N 0.6972 0.6696 0.2500
N 0.0277 0.6972 0.7500
N 0.6667 0.3333 0.7500
N 0.3333 0.6667 0.2500
Ge 0.7648 0.5937 0.7500
Ge 0.8289 0.2352 0.7500
Ge 0.4063 0.1711 0.7500
Ge 0.2352 0.4063 0.2500
Ge 0.5937 0.8289 0.2500
Ge 0.1711 0.7648 0.2500
```


Material: CsMg6Bi
Method: DFT, PBE
State: relaxed Values from VASP.

crystal system: orthorhombic
total magnetic moment: 0.00 μB/cell
space-group type: No. 38

```
&SYSTEM
  ibrav = 0, nat = 8, ntyp = 3
/
ATOMIC_SPECIES
Mg 24.30 Mg.upf
Cs 132.91 Cs.upf
Bi 208.98 Bi.upf
CELL_PARAMETERS angstrom
3.5661 -6.2526 0.0000
3.5661 6.2526 0.0000
0.0000 0.0000 5.3186
ATOMIC_POSITIONS crystal
Mg 0.6475 0.3525 0.0000
Mg 0.6555 0.7996 0.0000
Mg 0.2004 0.3445 0.0000
Mg 0.8290 0.6627 0.5000
Mg 0.3373 0.1710 0.5000
Mg 0.1604 0.8396 0.0000
Cs 0.8329 0.1671 0.5000
Bi 0.3371 0.6629 0.5000
```


Material: RbF3
Method: DFT, PBE
State: relaxed Values from VASP.

crystal system: tetragonal
total magnetic moment: 2.00 μB/cell
space-group type: No. 139

```
&SYSTEM
  ibrav = 0, nat = 4, ntyp = 2
/
ATOMIC_SPECIES
F 19.00 F.upf
Rb 85.47 Rb.upf
CELL_PARAMETERS angstrom
4.9210 -1.2872 -1.1255
2.6959 -1.5757 4.1700
-4.6304 -1.2797 -2.0153
ATOMIC_POSITIONS crystal
F 0.2500 0.7500 0.5000
F 0.5000 0.5000 0.0000
F 0.7500 0.2500 0.5000
Rb 0.0000 0.0000 0.0000
```


Material: BaNaPrNbO6
Method: DFT, PBE
State: relaxed Values from VASP.

distance to the lowest polymorph of the same formula: 0 meV per atom
crystal system: orthorhombic
total magnetic moment: 4.00 μB/cell
space-group type: No. 48

```
&SYSTEM
  ibrav = 0, nat = 40, ntyp = 5
/
ATOMIC_SPECIES
O 16.00 O.upf
Nb 92.91 Nb.upf
Na 22.99 Na.upf
Pr 140.91 Pr.upf
Ba 137.33 Ba.upf
CELL_PARAMETERS angstrom
8.6374 0.0000 0.0000
0.0000 8.6140 0.0000
0.0000 0.0000 8.6138
ATOMIC_POSITIONS crystal
O 0.7281 0.9800 0.7903
O 0.9781 0.7817 0.7056
O 0.5219 0.2817 0.2056
O 0.7999 0.2755 0.0223
O 0.0219 0.7817 0.2944
O 0.4781 0.2817 0.7944
O 0.7719 0.4800 0.2903
O 0.7719 0.5200 0.7097
O 0.0219 0.2183 0.7056
O 0.9781 0.2183 0.2944
O 0.2281 0.4800 0.7097
O 0.4781 0.7183 0.2056
O 0.2999 0.2245 0.5224
O 0.2999 0.7755 0.4776
O 0.7001 0.7755 0.5224
O 0.2719 0.0200 0.7903
O 0.7999 0.7245 0.9776
O 0.7001 0.2245 0.4776
O 0.7281 0.0200 0.2097
O 0.2001 0.7245 0.0223
O 0.2001 0.2755 0.9776
O 0.2719 0.9800 0.2097
O 0.5219 0.7183 0.7944
O 0.2281 0.5200 0.2903
Nb 0.2500 0.2500 0.7500
Nb 0.2500 0.7500 0.2500
Nb 0.7500 0.2500 0.2500
Nb 0.7500 0.7500 0.7500
Na 0.5000 0.0000 0.5000
Na 0.0000 0.0000 0.5000
Na 0.5000 0.5000 0.0000
Na 0.0000 0.5000 0.0000
Pr 0.7500 0.2500 0.7500
Pr 0.7500 0.7500 0.2500
Pr 0.2500 0.2500 0.2500
Pr 0.2500 0.7500 0.7500
Ba 0.5000 0.5000 0.5000
Ba 0.5000 0.0000 0.0000
Ba 0.0000 0.0000 0.0000
Ba 0.0000 0.5000 0.5000
```


Material: LiMg6Mn
Method: DFT, PBE
State: relaxed Values from VASP.

```
&SYSTEM
  ibrav = 0, nat = 16, ntyp = 3
/
ATOMIC_SPECIES
Mg 24.30 Mg.upf
Mn 54.94 Mn.upf
Li 6.94 Li.upf
CELL_PARAMETERS angstrom
-0.0848 3.0818 3.9496
1.5811 -4.7260 3.7215
10.4539 2.2757 -1.5514
ATOMIC_POSITIONS crystal
Mg 0.5000 0.5000 0.6666
Mg 0.0000 0.7545 0.5844
Mg 0.5000 0.7584 0.9131
Mg 0.0000 0.2455 0.5844
Mg 0.5000 0.0000 0.1666
Mg 0.5000 0.7416 0.4131
Mg 0.5000 0.2416 0.9131
Mg 0.0000 0.2545 0.0844
Mg 0.0000 0.5000 0.8342
Mg 0.5000 0.2584 0.4131
Mg 0.0000 0.7455 0.0844
Mg 0.0000 0.0000 0.3342
Mn 0.0000 0.0000 0.8346
Mn 0.0000 0.5000 0.3346
Li 0.5000 0.5000 0.1697
Li 0.5000 0.0000 0.6697
```


Material: H3S
Method: DFT, PBE
State: relaxed Values from VASP.

crystal system: cubic
total magnetic moment: 0.00 μB/cell
space-group type: No. 229

```
&SYSTEM
  ibrav = 0, nat = 4, ntyp = 2
/
ATOMIC_SPECIES
H 1.01 H.upf
S 32.06 S.upf
CELL_PARAMETERS angstrom
-1.8174 1.8174 1.8174
1.8174 -1.8174 1.8174
1.8174 1.8174 -1.8174
ATOMIC_POSITIONS crystal
H 0.0000 0.5000 0.5000
H 0.5000 0.0000 0.5000
H 0.5000 0.5000 0.0000
S 0.0000 0.0000 0.0000
```


Material: TmSe
Method: DFT, PBE
State: relaxed Values from VASP.

crystal system: cubic
space-group type: No. 225

```
&SYSTEM
  ibrav = 0, nat = 2, ntyp = 2
/
ATOMIC_SPECIES
Se 78.96 Se.upf
Tm 168.93 Tm.upf
CELL_PARAMETERS angstrom
0.0000 2.8394 2.8394
2.8394 0.0000 2.8394
2.8394 2.8394 0.0000
ATOMIC_POSITIONS crystal
Se 0.0000 0.0000 0.0000
Tm 0.5000 0.5000 0.5000
```


Material: SrRuO3
Method: DFT, PBE
State: relaxed Values from VASP.

crystal system: orthorhombic
total magnetic moment: 1.25 μB/cell
space-group type: No. 62

```
&SYSTEM
  ibrav = 0, nat = 20, ntyp = 3
/
ATOMIC_SPECIES
O 16.00 O.upf
Ru 101.07 Ru.upf
Sr 87.62 Sr.upf
CELL_PARAMETERS angstrom
-0.7160 -3.7032 3.5790
-1.8988 -3.1769 -3.6671
13.1543 -4.9673 -2.5080
ATOMIC_POSITIONS crystal
O 0.4979 0.9813 0.7500
O 0.7492 0.2498 0.9913
O 0.9979 0.5187 0.2500
O 0.7508 0.7498 0.5087
O 0.2492 0.2502 0.0087
O 0.5021 0.0187 0.2500
O 0.7508 0.7498 0.9913
O 0.2508 0.7502 0.0087
O 0.7492 0.2498 0.5087
O 0.2492 0.2502 0.4913
O 0.0021 0.4813 0.7500
O 0.2508 0.7502 0.4913
Ru 0.0000 0.0000 0.0000
Ru 0.5000 0.5000 0.5000
Ru 0.0000 0.0000 0.5000
Ru 0.5000 0.5000 0.0000
Sr 0.0004 0.0195 0.2500
Sr 0.9996 0.9805 0.7500
Sr 0.4996 0.5195 0.2500
Sr 0.5004 0.4805 0.7500
```


Material: Y4TiSi2O9F6
Method: DFT, PBE
State: relaxed Values from VASP.

crystal system: orthorhombic
total magnetic moment: 0.00 μB/cell
space-group type: No. 63

```
&SYSTEM
  ibrav = 0, nat = 44, ntyp = 5
/
ATOMIC_SPECIES
Y 88.91 Y.upf
F 19.00 F.upf
O 16.00 O.upf
Si 28.09 Si.upf
Ti 47.87 Ti.upf
CELL_PARAMETERS angstrom
5.3520 -7.5186 0.0000
5.3520 7.5186 0.0000
0.0000 0.0000 7.1252
ATOMIC_POSITIONS crystal
Y 0.4176 0.7106 0.7500
Y 0.0756 0.3367 0.7500
Y 0.6633 0.9244 0.2500
Y 0.9244 0.6633 0.2500
Y 0.5824 0.2894 0.2500
Y 0.3367 0.0756 0.7500
Y 0.7106 0.4176 0.7500
Y 0.2894 0.5824 0.2500
F 0.5289 0.2452 0.5614
F 0.6991 0.6991 0.2500
F 0.2452 0.5289 0.5614
F 0.7548 0.4711 0.0614
F 0.2452 0.5289 0.9386
F 0.5841 0.5841 0.7500
F 0.4159 0.4159 0.2500
F 0.4711 0.7548 0.0614
F 0.7548 0.4711 0.4386
F 0.4711 0.7548 0.4386
F 0.5289 0.2452 0.9386
F 0.3009 0.3009 0.7500
O 0.4656 0.0287 0.2500
O 0.2230 0.8056 0.7500
O 0.0323 0.2210 0.4430
O 0.9384 0.9384 0.2500
O 0.0616 0.0616 0.7500
O 0.7790 0.9677 0.5570
O 0.8056 0.2230 0.7500
O 0.9677 0.7790 0.9430
O 0.9677 0.7790 0.5570
O 0.9713 0.5344 0.7500
O 0.2210 0.0323 0.0570
O 0.5344 0.9713 0.7500
O 0.7790 0.9677 0.9430
O 0.1944 0.7770 0.2500
O 0.0323 0.2210 0.0570
O 0.7770 0.1944 0.2500
O 0.0287 0.4656 0.2500
O 0.2210 0.0323 0.4430
Si 0.7227 0.0364 0.7500
Si 0.2773 0.9636 0.2500
Si 0.9636 0.2773 0.2500
Si 0.0364 0.7227 0.7500
Ti 0.0000 0.0000 0.0000
Ti 0.0000 0.0000 0.5000
```


Material: BaNd2MnS5
Method: DFT, PBE
State: relaxed Values from VASP.

crystal system: tetragonal
total magnetic moment: 10.00 μB/cell
space-group type: No. 140

```
&SYSTEM
  ibrav = 0, nat = 18, ntyp = 4
/
ATOMIC_SPECIES
Nd 144.24 Nd.upf
Ba 137.33 Ba.upf
S 32.06 S.upf
Mn 54.94 Mn.upf
CELL_PARAMETERS angstrom
-3.9619 3.9619 6.8784
3.9619 -3.9619 6.8784
3.9619 3.9619 -6.8784
ATOMIC_POSITIONS crystal
Nd 0.8381 0.3381 0.1762
Nd 0.6619 0.8381 0.5000
Nd 0.3381 0.1619 0.5000
Nd 0.1619 0.6619 0.8238
Ba 0.2500 0.2500 0.0000
Ba 0.7500 0.7500 0.0000
S 0.7832 0.2832 0.8002
S 0.9831 0.7832 0.5000
S 0.2832 0.4831 0.5000
S 0.0169 0.2168 0.5000
S 0.5169 0.0169 0.8002
S 0.0000 0.0000 0.0000
S 0.7168 0.5169 0.5000
S 0.4831 0.9831 0.1998
S 0.2168 0.7168 0.1998
S 0.5000 0.5000 0.0000
Mn 0.7500 0.2500 0.5000
Mn 0.2500 0.7500 0.5000
```


The evaluated formation energy for the records listed, in turn: -17.3; -281.6; -23.7; 20.1; -140.4; -280.5; 9.5; 56.5; -182.2; -163.5; -380.0; -196.4 kJ/mol of atoms.